The following is a PBE-GGA calculation of a relaxed Li6Ti2O7 crystal, from the Materials Project.

Values from the calculation:
As for the total energy: -99.16 eV per formula unit. The calculation puts the energy relative to the lowest polymorph listed for this composition at 0.00 kJ per mole of atoms. As for the calculated formation energy: -2806 meV per atom. The calculation puts the volume at 9.3 Å³ per atom. The space group is C2/c (15).

Cell: 5.8115 5.8115 9.7888 Å, 80.24 80.24 59.84°
Last column: nearest neighbours and their distance in Å.
Fractional positions:
Li 0.0783 0.3299 0.1132  5 O 1.97-2.16
O 0.0013 0.2716 0.4978  2 Ti 2.00-2.08, 4 Li 2.05-2.08
Li 0.7929 0.0785 0.5967  5 O 2.00-2.15
Ti 0.4285 0.2036 0.8691  5 O 1.86-2.08
Li 0.4710 0.6708 0.8896  4 O 1.96-2.05
Li 0.6701 0.9217 0.3868  5 O 1.97-2.16
O 0.1415 0.3551 0.7505  1 Ti 1.93, 4 Li 2.01-2.16
Li 0.6708 0.4710 0.3896  4 O 1.96-2.05
O 0.4954 0.2608 0.4729  1 Ti 1.86, 5 Li 1.96-2.01
Li 0.2071 0.9215 0.4033  5 O 2.00-2.15
Li 0.3299 0.0783 0.6132  5 O 1.97-2.16
O 0.6449 0.8585 0.7495  1 Ti 1.93, 4 Li 2.01-2.16
O 0.2608 0.4954 0.9729  1 Ti 1.86, 5 Li 1.96-2.01
O 0.3462 0.6538 0.2500  2 Ti 2.00, 4 Li 2.11-2.22
Li 0.0785 0.7929 0.0967  5 O 2.00-2.15
Ti 0.7964 0.5715 0.6309  5 O 1.86-2.08
Li 0.9217 0.6701 0.8868  5 O 1.97-2.16
O 0.3551 0.1415 0.2505  1 Ti 1.93, 4 Li 2.01-2.16
O 0.7392 0.5046 0.0271  1 Ti 1.86, 5 Li 1.96-2.01
Ti 0.5715 0.7964 0.1309  5 O 1.86-2.08
O 0.7284 0.9987 0.0022  2 Ti 2.00-2.08, 4 Li 2.05-2.08
Li 0.3292 0.5290 0.6104  4 O 1.96-2.05
O 0.6538 0.3462 0.7500  2 Ti 2.00, 4 Li 2.11-2.22
O 0.8585 0.6449 0.2495  1 Ti 1.93, 4 Li 2.01-2.16
O 0.9987 0.7284 0.5022  2 Ti 2.00-2.08, 4 Li 2.05-2.08
O 0.5046 0.7392 0.5271  1 Ti 1.86, 5 Li 1.96-2.01
Li 0.5290 0.3292 0.1104  4 O 1.96-2.05
O 0.2716 0.0013 0.9978  2 Ti 2.00-2.08, 4 Li 2.05-2.08
Ti 0.2036 0.4285 0.3691  5 O 1.86-2.08
Li 0.9215 0.2071 0.9033  5 O 2.00-2.15